Entry 1:
The following is a GGA-PBE calculation of a relaxed structure of ThPb, from the Materials Project database.

a b c (Å): 6.498 6.498 6.498
angles (deg): 137.50 137.50 61.67
Sites, in units of the cell vectors:
Th 0.375 0.625 0.750
Th 0.625 0.375 0.250
Pb 0.125 0.875 0.250
Pb 0.875 0.125 0.750

Summary:
As for the formation energy: -0.49 eV per formula unit. As for the symmetry: I4_1/amd (141). The calculation puts the spin magnetization at 0.00 μB per formula unit.

---

Entry 2:
The following is a GGA-PBE calculation of a relaxed structure of Na5Al3Si3SnS3O24, from the Materials Project database.

a b c (Å): 8.716 8.748 21.915
angles (deg): 89.37 88.98 60.18
Sites, in units of the cell vectors:
Na 0.000 0.000 0.000
Na 0.000 0.698 0.081
Na 0.043 0.301 0.821
Na 0.046 0.039 0.321
Na 0.326 0.717 0.157
Na 0.340 0.041 0.241
Na 0.350 0.036 0.742
Na 0.364 0.650 0.486
Na 0.375 0.369 0.989
Na 0.386 0.678 0.837
Na 0.668 0.667 0.338
Na 0.687 0.345 0.413
Na 0.689 0.327 0.912
Na 0.989 0.389 0.495
Na 0.997 0.687 0.581
Al 0.019 0.671 0.428
Al 0.042 0.678 0.227
Al 0.052 0.652 0.727
Al 0.356 0.003 0.093
Al 0.362 0.002 0.389
Al 0.369 0.014 0.597
Al 0.377 0.001 0.890
Al 0.698 0.325 0.054
Al 0.707 0.363 0.562
Si 0.007 0.346 0.657
Si 0.036 0.962 0.825
Si 0.046 0.386 0.329
Si 0.312 0.676 0.330
Si 0.325 0.373 0.828
Si 0.382 0.712 0.995
Si 0.640 0.007 0.996
Si 0.650 0.731 0.494
Si 0.992 0.046 0.158
Sn 0.031 0.686 0.933
Sn 0.702 0.345 0.263
Sn 0.708 0.326 0.759
S 0.067 0.014 0.496
S 0.071 0.293 0.995
S 0.371 0.293 0.494
S 0.403 0.340 0.160
S 0.403 0.641 0.658
S 0.694 0.054 0.655
S 0.700 0.642 0.159
S 0.741 0.686 0.825
S 0.742 0.959 0.329
O 0.015 0.527 0.667
O 0.015 0.847 0.167
O 0.051 0.854 0.491
O 0.053 0.493 0.269
O 0.055 0.471 0.992
O 0.057 0.830 0.770
O 0.144 0.047 0.438
O 0.146 0.192 0.938
O 0.181 0.210 0.049
O 0.181 0.988 0.548
O 0.189 0.468 0.773
O 0.192 0.025 0.153
O 0.197 0.714 0.269
O 0.199 0.167 0.649
O 0.203 0.684 0.996
O 0.211 0.475 0.492
O 0.214 0.660 0.392
O 0.216 0.976 0.831
O 0.217 0.188 0.337
O 0.228 0.654 0.663
O 0.230 0.506 0.166
O 0.249 0.493 0.891
O 0.331 0.838 0.055
O 0.338 0.212 0.549
O 0.344 0.182 0.836
O 0.344 0.847 0.335
O 0.376 0.188 0.155
O 0.385 0.816 0.651
O 0.393 0.190 0.439
O 0.394 0.806 0.932
O 0.492 0.369 0.106
O 0.495 0.524 0.604
O 0.508 0.562 0.714
O 0.509 0.312 0.217
O 0.511 0.379 0.819
O 0.512 0.498 0.325
O 0.519 0.046 0.937
O 0.527 0.815 0.433
O 0.529 0.316 0.501
O 0.539 0.001 0.057
O 0.542 0.026 0.648
O 0.542 0.819 0.154
O 0.545 0.852 0.552
O 0.552 0.514 0.005
O 0.565 0.978 0.336
O 0.569 0.845 0.831
O 0.651 0.156 0.714
O 0.655 0.576 0.219
O 0.671 0.527 0.501
O 0.680 0.175 0.001
O 0.709 0.161 0.604
O 0.710 0.531 0.820
O 0.719 0.524 0.109
O 0.725 0.137 0.326
O 0.822 0.857 0.273
O 0.830 0.703 0.770
O 0.838 0.827 0.994
O 0.851 0.641 0.880
O 0.852 0.877 0.384
O 0.854 0.700 0.488
O 0.859 0.886 0.660
O 0.861 0.652 0.167
O 0.864 0.154 0.102
O 0.868 0.357 0.326
O 0.869 0.167 0.823
O 0.879 0.373 0.599
O 0.888 0.173 0.502
O 0.893 0.315 0.002
O 0.914 0.154 0.224
O 0.921 0.308 0.720
O 0.990 0.903 0.891
O 0.995 0.505 0.391

Summary:
As for the formation energy: -98.96 eV per formula unit. As for the symmetry: P1 (1). The value obtained for the MP2020-corrected energy is -6.878 eV/atom. The calculation puts the spin magnetization at 0.00 μB per formula unit.

---

Entry 3:
The following is a GGA-PBE calculation of a relaxed structure of Ba2MgCuSb2F14, from the Materials Project database.

a b c (Å): 5.352 7.713 16.224
angles (deg): 89.88 89.33 70.38
Sites, in units of the cell vectors:
Ba 0.091 0.148 0.373
Ba 0.264 0.146 0.873
Ba 0.736 0.854 0.127
Ba 0.909 0.852 0.627
Mg 0.450 0.499 0.247
Mg 0.550 0.501 0.753
Cu 0.500 0.500 0.000
Cu 0.500 0.500 0.500
Sb 0.068 0.274 0.123
Sb 0.154 0.273 0.625
Sb 0.846 0.727 0.375
Sb 0.932 0.726 0.877
F 0.008 0.146 0.718
F 0.112 0.803 0.448
F 0.119 0.997 0.105
F 0.133 0.658 0.014
F 0.155 0.522 0.171
F 0.190 0.476 0.330
F 0.227 0.712 0.763
F 0.292 0.336 0.488
F 0.335 0.152 0.215
F 0.337 0.564 0.606
F 0.384 0.998 0.604
F 0.406 0.440 0.892
F 0.413 0.199 0.049
F 0.438 0.288 0.738
F 0.562 0.712 0.262
F 0.587 0.801 0.951
F 0.594 0.560 0.108
F 0.616 0.002 0.396
F 0.663 0.436 0.394
F 0.665 0.848 0.785
F 0.708 0.664 0.512
F 0.773 0.288 0.237
F 0.810 0.524 0.670
F 0.845 0.478 0.829
F 0.867 0.342 0.986
F 0.881 0.003 0.895
F 0.888 0.197 0.552
F 0.992 0.854 0.282

Summary:
As for the formation energy: -62.89 eV per formula unit. As for the symmetry: P-1 (2). The value obtained for the MP2020-corrected energy is -5.374 eV/atom. The calculation puts the spin magnetization at 1.00 μB per formula unit.